Entry w
First-principles (GGA-PBE) data for crystalline Mg14ZnBi at its relaxed geometry, as listed in the Materials Project.

## Properties
Space group ... Amm2 (38)
Crystal system ... orthorhombic
Magnetic moment ... 0.000 μB/cell

Cell and atoms, written as extended XYZ:
```
16
Lattice="-6.221 1.247 -0.082 2.252 -5.554 2.522 0.788 4.537 9.287" Properties=species:S:1:pos:R:3 pbc="T T T"
Mg 0.200 1.190 6.633
Mg 1.325 -1.587 7.894
Mg -3.308 -0.454 1.949
Mg -2.904 1.815 6.591
Mg -2.181 -3.234 3.211
Mg -1.778 -0.960 7.851
Mg -1.390 1.163 3.893
Mg -0.996 3.429 8.529
Mg -0.288 -1.554 5.126
Mg 0.105 0.712 9.763
Mg -4.527 1.805 3.826
Mg -4.131 4.085 8.494
Mg -3.365 -0.938 5.129
Mg -2.978 1.294 9.698
Zn -0.172 -1.072 1.984
Bi 0.935 -3.854 3.250
```

Entry x
First-principles (GGA-PBE) data for crystalline Mg14ZnBi at its relaxed geometry, as listed in the Materials Project.

## Properties
Space group ... P-6m2 (187)
Crystal system ... hexagonal
Magnetic moment ... 0.000 μB/cell

Cell and atoms, written as extended XYZ:
```
16
Lattice="6.386 0.000 0.000 -3.193 5.530 0.000 0.000 0.000 10.402" Properties=species:S:1:pos:R:3 pbc="T T T"
Mg -1.603 4.605 1.300
Mg -1.598 4.608 6.501
Mg 3.193 1.851 1.300
Mg 3.193 1.845 6.501
Mg 1.603 4.605 1.300
Mg 1.598 4.608 6.501
Mg 1.611 0.914 3.803
Mg 1.611 0.914 9.199
Mg 0.000 3.703 3.803
Mg 0.000 3.703 9.199
Mg 4.775 0.914 3.803
Mg 4.775 0.914 9.199
Mg 3.193 3.687 3.894
Mg 3.193 3.687 9.108
Zn 0.000 1.843 1.300
Bi 0.000 1.843 6.501
```

entry x ends up most stable, edging out the next structure by 0.014 eV/atom.

Entry w
First-principles (GGA-PBE) data for crystalline Mg14ZrBi at its relaxed geometry, as listed in the Materials Project.

## Properties
Space group ... P-6m2 (187)
Crystal system ... hexagonal
Magnetic moment ... 0.000 μB/cell

Cell and atoms, written as extended XYZ:
```
16
Lattice="6.396 0.000 0.000 -3.198 5.539 0.000 0.000 0.000 10.523" Properties=species:S:1:pos:R:3 pbc="T T T"
Mg -1.575 4.630 1.315
Mg -1.613 4.608 6.577
Mg 3.198 1.819 1.315
Mg 3.198 1.863 6.577
Mg 1.575 4.630 1.315
Mg 1.613 4.608 6.577
Mg 1.572 0.939 3.870
Mg 1.572 0.939 9.284
Mg 0.000 3.661 3.870
Mg 0.000 3.661 9.284
Mg 4.825 0.939 3.870
Mg 4.825 0.939 9.284
Mg 3.198 3.693 3.874
Mg 3.198 3.693 9.280
Zr 0.000 1.846 1.315
Bi 0.000 1.846 6.577
```

Entry x
First-principles (GGA-PBE) data for crystalline Mg14ZrBi at its relaxed geometry, as listed in the Materials Project.

## Properties
Space group ... Amm2 (38)
Crystal system ... orthorhombic
Magnetic moment ... 0.000 μB/cell

Cell and atoms, written as extended XYZ:
```
16
Lattice="-5.936 0.105 -2.508 4.641 -3.073 -3.065 -2.345 -8.715 5.186" Properties=species:S:1:pos:R:3 pbc="T T T"
Mg -0.905 -6.452 1.805
Mg 1.414 -7.990 0.271
Mg -2.716 -2.037 -2.040
Mg -3.876 -6.400 0.550
Mg -0.374 -3.588 -3.586
Mg -1.553 -7.938 -0.983
Mg -2.076 -3.794 0.597
Mg -3.231 -8.087 3.152
Mg 0.200 -5.301 -0.906
Mg -0.955 -9.594 1.649
Mg -5.063 -3.693 -0.670
Mg -6.237 -8.058 1.928
Mg -2.725 -5.255 -2.152
Mg -3.881 -9.549 0.404
Zr 0.262 -2.097 -0.794
Bi 2.593 -3.629 -2.315
```

entry x ends up most stable, edging out the next structure by 0.011 eV/atom.

Entry w
First-principles (GGA-PBE) data for crystalline Bi4Se3N2 at its relaxed geometry, as listed in the Materials Project.

## Properties
Space group ... Pnnm (58)
Crystal system ... orthorhombic
Magnetic moment ... 0.001 μB/cell

Cell and atoms, written as extended XYZ:
```
18
Lattice="-0.875 -6.536 2.845 15.198 -3.199 -2.674 0.947 1.458 3.641" Properties=species:S:1:pos:R:3 pbc="T T T"
Bi 14.053 -6.868 1.329
Bi 1.217 -1.410 2.483
Bi 8.421 -3.151 -0.930
Bi 5.902 -6.585 1.101
Bi 9.630 -6.451 2.313
Bi 5.640 -1.827 1.499
Bi 12.710 -4.568 -1.479
Bi 1.613 -5.168 1.650
Se 7.635 -4.139 1.906
Se 0.000 0.000 0.000
Se 4.108 -5.736 3.463
Se 11.162 -2.542 0.349
Se 2.918 -2.954 0.423
Se 11.405 -6.782 -0.252
N 1.085 -3.540 3.371
N 14.185 -4.738 0.441
N 6.347 -2.116 -0.804
N 7.976 -7.620 0.976
```

Entry x
First-principles (GGA-PBE) data for crystalline Bi4Se3N2 at its relaxed geometry, as listed in the Materials Project.

## Properties
Space group ... Pnma (62)
Crystal system ... orthorhombic
Magnetic moment ... 0.001 μB/cell

Cell and atoms, written as extended XYZ:
```
36
Lattice="-1.356 -2.752 6.492 8.374 -7.246 -1.323 7.019 7.280 4.551" Properties=species:S:1:pos:R:3 pbc="T T T"
Bi 7.023 2.507 7.215
Bi 6.771 2.919 3.366
Bi 7.015 -5.225 2.506
Bi 7.266 -5.637 6.355
Bi 4.352 -0.464 6.583
Bi 2.018 -2.212 1.384
Bi 9.685 -2.254 3.138
Bi 12.019 -0.507 8.337
Bi 3.490 -4.369 4.258
Bi 3.048 2.033 2.908
Bi 13.800 -1.164 4.949
Bi 7.737 -1.937 7.327
Bi 10.547 1.651 5.463
Bi 10.989 -4.751 6.813
Bi 0.238 -1.555 4.772
Bi 6.300 -0.782 2.394
Se 2.658 -2.508 7.059
Se 3.133 -1.343 3.681
Se 11.379 -0.210 2.662
Se 10.904 -1.375 6.040
Se 6.445 -3.133 4.839
Se 8.657 -6.061 0.089
Se 4.494 3.097 5.372
Se 8.479 0.662 9.143
Se 7.592 0.415 4.882
Se 5.380 3.343 9.632
Se 9.543 -5.815 4.349
Se 5.558 -3.380 0.578
N 4.769 -5.701 2.950
N 10.487 -3.182 1.241
N 7.121 4.840 7.110
N 5.697 -1.394 8.141
N 9.268 2.982 6.771
N 3.550 0.464 8.480
N 6.916 -7.558 2.611
N 8.340 -1.324 1.580
```

entry x ends up most stable, edging out the next structure by 0.030 eV/atom.

Entry w
First-principles (GGA-PBE) data for crystalline Bi4Te3N2 at its relaxed geometry, as listed in the Materials Project.

## Properties
Space group ... Pnma (62)
Crystal system ... orthorhombic
Magnetic moment ... 0.002 μB/cell

Cell and atoms, written as extended XYZ:
```
36
Lattice="-6.405 -4.059 -0.136 5.348 -8.252 -5.601 2.949 -4.995 10.176" Properties=species:S:1:pos:R:3 pbc="T T T"
Bi 0.022 -8.557 6.911
Bi 2.785 -5.782 5.461
Bi 1.870 -8.750 -2.472
Bi -0.893 -11.524 -1.022
Bi -2.067 -7.463 3.306
Bi -0.176 -3.211 -1.154
Bi 3.959 -9.843 1.133
Bi 2.068 -14.095 5.593
Bi -1.570 -6.857 -1.607
Bi 0.434 -3.115 3.782
Bi 5.565 -13.693 3.844
Bi -0.645 -10.947 2.859
Bi 3.462 -10.449 6.046
Bi 1.458 -14.191 0.657
Bi -3.672 -3.613 0.595
Bi 2.537 -6.359 1.580
Te -3.948 -7.198 1.119
Te -0.805 -5.066 0.979
Te 5.840 -10.108 3.320
Te 2.697 -12.240 3.460
Te 0.178 -8.856 0.431
Te 4.783 -8.894 -3.840
Te -0.326 -5.302 6.145
Te -0.850 -11.561 6.143
Te 1.714 -8.450 4.008
Te -2.891 -8.412 8.280
Te 2.218 -12.005 -1.706
Te 2.742 -5.745 -1.703
N -0.050 -7.560 -3.140
N 5.749 -9.722 -0.254
N 0.577 -7.640 9.008
N -2.491 -9.691 3.264
N 1.942 -9.746 7.579
N -3.857 -7.584 4.693
N 1.315 -9.667 -4.569
N 4.383 -7.615 1.175
```

Entry x
First-principles (GGA-PBE) data for crystalline Bi4Te3N2 at its relaxed geometry, as listed in the Materials Project.

## Properties
Space group ... Pnnm (58)
Crystal system ... orthorhombic
Magnetic moment ... 0.002 μB/cell

Cell and atoms, written as extended XYZ:
```
18
Lattice="-1.218 -2.310 -7.200 -3.784 -15.030 5.463 -3.985 1.118 0.316" Properties=species:S:1:pos:R:3 pbc="T T T"
Bi -6.389 -15.153 0.297
Bi -2.598 -1.069 -1.717
Bi -2.359 -8.881 1.675
Bi -2.643 -8.460 -3.412
Bi -5.394 -10.943 -2.057
Bi -3.592 -5.280 0.637
Bi -3.603 -13.565 2.555
Bi -1.399 -3.776 -4.291
Te -4.493 -8.111 -0.710
Te 0.000 0.000 0.000
Te -4.087 -5.640 -4.334
Te -4.900 -10.583 2.914
Te -1.232 -4.038 -1.258
Te -3.770 -13.303 -0.479
N -3.016 -1.969 -3.811
N -5.971 -14.253 2.390
N -1.741 -6.641 1.546
N -3.262 -10.700 -3.282
```

Entry y
First-principles (GGA-PBE) data for crystalline Bi4Te3N2 at its relaxed geometry, as listed in the Materials Project.

## Properties
Space group ... C2/m (12)
Crystal system ... monoclinic
Magnetic moment ... 0.004 μB/cell

Cell and atoms, written as extended XYZ:
```
9
Lattice="7.919 -0.203 -1.125 1.174 3.950 0.000 6.181 -1.836 7.261" Properties=species:S:1:pos:R:3 pbc="T T T"
Bi 6.732 2.299 3.864
Bi 8.541 -0.388 2.272
Bi 6.588 2.341 0.234
Bi 8.685 -0.431 5.902
Te 0.000 0.000 0.000
Te 10.943 1.048 4.416
Te 4.331 0.863 1.721
N 7.959 1.934 1.999
N 7.314 -0.024 4.138
```

entry y ends up most stable, edging out the next structure by 0.060 eV/atom.